# MgMn6O10F2, optimized geometry, DFT PBE+U
data_MgMn6O10F2
_space_group_name_H-M_alt 'P 1'
_space_group_IT_number 1
_cell_length_a 5.036
_cell_length_b 5.122
_cell_length_c 8.833
_cell_angle_alpha 88.47
_cell_angle_beta 88.01
_cell_angle_gamma 78.73
loop_
_space_group_symop_operation_xyz
'x,y,z'
loop_
_atom_site_label
_atom_site_type_symbol
_atom_site_fract_x
_atom_site_fract_y
_atom_site_fract_z
Mg1 Mg 0.000 0.000 0.000
Mn1 Mn 0.477 0.043 0.676
Mn2 Mn 0.489 0.045 0.342
Mn3 Mn 0.490 0.056 0.004
Mn4 Mn 0.930 0.495 0.181
Mn5 Mn 0.930 0.501 0.832
Mn6 Mn 0.954 0.514 0.505
O1 O 0.155 0.333 0.009
O2 O 0.166 0.346 0.671
O3 O 0.173 0.343 0.336
O4 O 0.318 0.903 0.855
O5 O 0.643 0.185 0.499
O6 O 0.675 0.179 0.170
O7 O 0.699 0.204 0.861
O8 O 0.745 0.706 0.341
O9 O 0.762 0.714 0.671
O10 O 0.778 0.726 0.008
F1 F 0.280 0.881 0.164
F2 F 0.283 0.879 0.491
# Total DFT energy (no corrections) (eV/atom): -6.90
# Crystal system: triclinic
# Size of the total moment (μB per formula unit): 22.000